# 1
A geometry-optimized Pr7FeI12 structure. Source: Materials Project, functional PBE-GGA.

Structure (CIF):
```
data_Pr7FeI12
_chemical_formula_sum 'Pr21 Fe3 I36'
_cell_length_a 16.1426
_cell_length_b 16.1426
_cell_length_c 11.0670
_cell_angle_alpha 90.00
_cell_angle_beta 90.00
_cell_angle_gamma 120.00
_symmetry_space_group_name_H-M 'R -3'
_symmetry_Int_Tables_number 148
_symmetry_space_group_name_Hall '-R 3'
loop_
_atom_site_label
_atom_site_fract_x
_atom_site_fract_y
_atom_site_fract_z
Pr1 0.0000 0.0000 0.0000
Pr2 0.0443 0.8866 0.3568
Fe1 0.0000 0.0000 0.5000
I1 0.0216 0.4338 0.1634
I2 0.0515 0.8681 0.8401
```

Calculated values
The value obtained for the raw total energy is -4.234 eV/atom.

# 2
A geometry-optimized Na8Zr3Si16SnH16O52 structure. Source: Materials Project, functional PBE-GGA.

Structure (CIF):
```
data_Na8Zr3Si16SnH16O52
_chemical_formula_sum 'Na8 Zr3 Si16 Sn1 H16 O52'
_cell_length_a 7.625
_cell_length_b 8.925
_cell_length_c 16.979
_cell_angle_alpha 90.34
_cell_angle_beta 91.48
_cell_angle_gamma 90.05
_symmetry_space_group_name_H-M 'P -1'
_symmetry_Int_Tables_number 2
_symmetry_space_group_name_Hall '-P 1'
loop_
_atom_site_label
_atom_site_fract_x
_atom_site_fract_y
_atom_site_fract_z
Na1 0.105 0.312 0.395
Na2 0.107 0.189 0.896
Na3 0.394 0.812 0.605
Na4 0.395 0.688 0.104
Zr1 0.000 0.000 0.500
Zr2 0.000 0.500 0.000
Zr3 0.500 0.500 0.500
Si1 0.115 0.658 0.415
Si2 0.118 0.844 0.917
Si3 0.248 0.057 0.157
Si4 0.248 0.441 0.660
Si5 0.252 0.560 0.841
Si6 0.252 0.941 0.339
Si7 0.387 0.157 0.584
Si8 0.387 0.339 0.083
Sn1 0.500 0.000 0.000
H1 0.078 0.601 0.174
H2 0.078 0.899 0.675
H3 0.163 0.698 0.244
H4 0.163 0.802 0.744
H5 0.337 0.197 0.756
H6 0.337 0.302 0.256
H7 0.421 0.101 0.826
H8 0.422 0.399 0.325
O1 0.044 0.053 0.122
O2 0.046 0.446 0.625
O3 0.052 0.767 0.486
O4 0.056 0.734 0.987
O5 0.120 0.042 0.390
O6 0.120 0.458 0.891
O7 0.157 0.685 0.186
O8 0.157 0.815 0.687
O9 0.188 0.763 0.342
O10 0.189 0.738 0.843
O11 0.242 0.033 0.558
O12 0.243 0.463 0.056
O13 0.250 0.501 0.750
O14 0.251 0.997 0.248
O15 0.259 0.534 0.442
O16 0.261 0.972 0.942
O17 0.313 0.234 0.157
O18 0.313 0.264 0.658
O19 0.343 0.186 0.813
O20 0.343 0.315 0.313
O21 0.379 0.543 0.609
O22 0.381 0.955 0.107
O23 0.448 0.266 0.514
O24 0.449 0.231 0.011
O25 0.454 0.556 0.877
O26 0.454 0.946 0.375
```

Calculated values
The value obtained for the raw total energy is -6.858 eV/atom.

# 3
A geometry-optimized GaAgS2 structure. Source: Materials Project, functional PBE-GGA.

Structure (CIF):
```
data_GaAgS2
_chemical_formula_sum 'Ga4 Ag4 S8'
_cell_length_a 8.168
_cell_length_b 8.177
_cell_length_c 6.633
_cell_angle_alpha 90.00
_cell_angle_beta 127.08
_cell_angle_gamma 90.00
_symmetry_space_group_name_H-M 'C 1 c 1'
_symmetry_Int_Tables_number 9
_symmetry_space_group_name_Hall 'C -2yc'
loop_
_atom_site_label
_atom_site_fract_x
_atom_site_fract_y
_atom_site_fract_z
Ga1 0.000 0.122 0.000
Ag1 0.013 0.397 0.498
S1 0.352 0.153 0.235
S2 0.402 0.386 0.762
```

Calculated values
The value obtained for the raw total energy is -4.040 eV/atom. Its maximum piezoelectric response is 0.345 C/m².

# 4
A geometry-optimized BaSr structure. Source: Materials Project, functional PBE-GGA.

Structure (CIF):
```
data_BaSr
_chemical_formula_sum 'Ba2 Sr2'
_cell_length_a 5.016
_cell_length_b 6.924
_cell_length_c 6.798
_cell_angle_alpha 90.00
_cell_angle_beta 90.00
_cell_angle_gamma 90.00
_symmetry_space_group_name_H-M 'C m m m'
_symmetry_Int_Tables_number 65
_symmetry_space_group_name_Hall '-C 2 2'
loop_
_atom_site_label
_atom_site_fract_x
_atom_site_fract_y
_atom_site_fract_z
Ba1 0.000 0.000 0.000
Sr1 0.000 0.500 0.500
```

Calculated values
The value obtained for the raw total energy is -1.802 eV/atom.

# 5
A geometry-optimized Ba2Na2O3 structure. Source: Materials Project, functional PBE-GGA.

Structure (CIF):
```
data_Ba2Na2O3
_chemical_formula_sum 'Ba8 Na8 O12'
_cell_length_a 7.181
_cell_length_b 7.181
_cell_length_c 11.103
_cell_angle_alpha 90.00
_cell_angle_beta 90.00
_cell_angle_gamma 90.00
_symmetry_space_group_name_H-M 'P 43 21 2'
_symmetry_Int_Tables_number 96
_symmetry_space_group_name_Hall 'P 4nw 2abw'
loop_
_atom_site_label
_atom_site_fract_x
_atom_site_fract_y
_atom_site_fract_z
Ba1 0.015 0.248 0.356
Na1 0.033 0.246 0.893
O1 0.003 0.745 0.618
O2 0.202 0.798 0.250
```

Calculated values
Its maximum piezoelectric response is 0.078 C/m². The value obtained for the distance to the lowest polymorph of the same formula is 0.0000 eV per atom.

# 6
A geometry-optimized USiSe structure. Source: Materials Project, functional PBE-GGA.

Structure (CIF):
```
data_USiSe
_chemical_formula_sum 'U4 Si4 Se4'
_cell_length_a 3.884
_cell_length_b 3.884
_cell_length_c 16.593
_cell_angle_alpha 90.00
_cell_angle_beta 90.00
_cell_angle_gamma 90.00
_symmetry_space_group_name_H-M 'I 4/m m m'
_symmetry_Int_Tables_number 139
_symmetry_space_group_name_Hall '-I 4 2'
loop_
_atom_site_label
_atom_site_fract_x
_atom_site_fract_y
_atom_site_fract_z
U1 0.000 0.000 0.132
Si1 0.000 0.500 0.000
Se1 0.000 0.000 0.316
```

Calculated values
The value obtained for the raw total energy is -7.503 eV/atom.

# 7
A geometry-optimized Ho2Co5Ni5 structure. Source: Materials Project, functional PBE-GGA.

Structure (CIF):
```
data_Ho2Co5Ni5
_chemical_formula_sum 'Ho2 Co5 Ni5'
_cell_length_a 3.942
_cell_length_b 4.903
_cell_length_c 8.470
_cell_angle_alpha 90.00
_cell_angle_beta 90.00
_cell_angle_gamma 90.00
_symmetry_space_group_name_H-M 'P m m m'
_symmetry_Int_Tables_number 47
_symmetry_space_group_name_Hall '-P 2 2'
loop_
_atom_site_label
_atom_site_fract_x
_atom_site_fract_y
_atom_site_fract_z
Ho1 0.000 0.000 0.000
Ho2 0.000 0.500 0.500
Co1 0.000 0.000 0.333
Co2 0.000 0.500 0.162
Co3 0.500 0.500 0.000
Ni1 0.500 0.000 0.500
Ni2 0.500 0.249 0.250
```

Calculated values
The value obtained for the raw total energy is -6.319 eV/atom.

# 8
A geometry-optimized NaCu3 structure. Source: Materials Project, functional PBE-GGA.

Structure (CIF):
```
data_NaCu3
_chemical_formula_sum 'Na1 Cu3'
_cell_length_a 3.826
_cell_length_b 3.826
_cell_length_c 3.826
_cell_angle_alpha 90.00
_cell_angle_beta 90.00
_cell_angle_gamma 90.00
_symmetry_space_group_name_H-M 'P m -3 m'
_symmetry_Int_Tables_number 221
_symmetry_space_group_name_Hall '-P 4 2 3'
loop_
_atom_site_label
_atom_site_fract_x
_atom_site_fract_y
_atom_site_fract_z
Na1 0.000 0.000 0.000
Cu1 0.000 0.500 0.500
```

Calculated values
The value obtained for the raw total energy is -3.079 eV/atom.